[1]
Computed, not measured: a relaxed structure of Li3Ni4O8 at the PBE with a Hubbard U level of DFT.

```
Li3Ni4O8
1.0
-2.089 3.847 3.465
1.425 -3.353 4.349
4.104 1.583 -3.652
Li O Ni
3 8 4
Direct
0.500 0.000 0.000 Li
0.000 0.500 0.000 Li
0.500 0.000 0.500 Li
0.757 0.725 0.508 O
0.258 0.722 0.499 O
0.765 0.284 0.048 O
0.287 0.289 0.056 O
0.713 0.711 0.944 O
0.235 0.716 0.952 O
0.742 0.278 0.501 O
0.243 0.275 0.492 O
0.000 0.500 0.500 Ni
0.000 0.000 0.000 Ni
0.500 0.500 0.500 Ni
0.500 0.500 0.000 Ni
```

ΔE_f, eV per atom: -1.308
Space group: No. 2

[2]
Computed, not measured: a relaxed structure of LiNiO2 at the PBE with a Hubbard U level of DFT.

```
LiNiO2
1.0
-1.229 2.422 4.222
-4.672 0.201 -3.435
-0.244 -6.037 2.394
Ni Li O
5 5 10
Direct
0.001 0.501 0.001 Ni
0.798 0.099 0.601 Ni
0.602 0.701 0.199 Ni
0.200 0.900 0.400 Ni
0.399 0.299 0.799 Ni
0.804 0.604 0.603 Li
0.401 0.799 0.797 Li
0.596 0.196 0.197 Li
0.200 0.400 0.400 Li
0.999 0.001 0.003 Li
0.694 0.168 0.892 O
0.104 0.959 0.683 O
0.905 0.033 0.311 O
0.705 0.631 0.907 O
0.100 0.431 0.716 O
0.300 0.368 0.084 O
0.913 0.570 0.289 O
0.296 0.841 0.118 O
0.487 0.230 0.511 O
0.495 0.767 0.489 O
```

ΔE_f, eV per atom: -1.482
Space group: No. 2

[3]
Computed, not measured: a relaxed structure of LiNiO2 at the PBE with a Hubbard U level of DFT.

```
LiNiO2
1.0
2.926 5.008 0.000
-2.926 5.008 0.000
0.000 3.412 4.788
O Ni Li
8 4 4
Direct
0.234 0.234 0.257 O
0.756 0.221 0.275 O
0.779 0.244 0.725 O
0.750 0.750 0.287 O
0.766 0.766 0.743 O
0.221 0.756 0.275 O
0.244 0.779 0.725 O
0.250 0.250 0.713 O
0.500 0.000 0.500 Ni
0.000 0.000 0.500 Ni
0.000 0.500 0.500 Ni
0.000 0.000 0.000 Ni
0.500 0.000 0.000 Li
0.000 0.500 0.000 Li
0.500 0.500 0.500 Li
0.500 0.500 0.000 Li
```

ΔE_f, eV per atom: -1.487
Space group: No. 12

[4]
Computed, not measured: a relaxed structure of Li9Ni10O20 at the PBE with a Hubbard U level of DFT.

```
Li9Ni10O20
1.0
6.425 0.000 0.000
0.158 7.585 0.000
0.163 2.889 7.015
Li O Ni
9 20 10
Direct
0.307 0.690 0.191 Li
0.105 0.896 0.400 Li
0.205 0.790 0.806 Li
0.895 0.104 0.600 Li
0.795 0.210 0.194 Li
0.599 0.404 0.391 Li
0.401 0.596 0.609 Li
0.693 0.310 0.809 Li
0.000 0.000 0.000 Li
0.084 0.645 0.644 O
0.721 0.555 0.558 O
0.876 0.847 0.842 O
0.621 0.661 0.157 O
0.019 0.252 0.756 O
0.279 0.445 0.442 O
0.514 0.780 0.728 O
0.421 0.854 0.359 O
0.321 0.952 0.955 O
0.174 0.544 0.048 O
0.379 0.339 0.843 O
0.826 0.456 0.952 O
0.679 0.048 0.045 O
0.778 0.949 0.446 O
0.579 0.146 0.641 O
0.222 0.051 0.554 O
0.124 0.153 0.158 O
0.916 0.355 0.356 O
0.981 0.748 0.244 O
0.486 0.220 0.272 O
0.000 0.500 0.500 Ni
0.800 0.700 0.701 Ni
0.702 0.803 0.300 Ni
0.598 0.900 0.900 Ni
0.500 0.000 0.500 Ni
0.200 0.300 0.299 Ni
0.898 0.599 0.101 Ni
0.298 0.197 0.700 Ni
0.402 0.100 0.100 Ni
0.102 0.401 0.899 Ni
```

ΔE_f, eV per atom: -1.440
Space group: No. 2

[5]
Computed, not measured: a relaxed structure of LiNiO2 at the PBE with a Hubbard U level of DFT.

```
LiNiO2
1.0
-2.459 -1.181 -1.238
-1.031 -2.741 0.631
-3.034 1.655 3.699
O Ni Li
2 1 1
Direct
0.341 0.341 0.222 O
0.648 0.648 0.803 O
0.004 0.004 0.028 Ni
0.339 0.339 0.596 Li
```

ΔE_f, eV per atom: -1.460
Maximum piezoelectric response, C/m²: 1.2
Space group: No. 8

[6]
Computed, not measured: a relaxed structure of LiNi3O4 at the PBE with a Hubbard U level of DFT.

```
LiNi3O4
1.0
-1.743 4.121 2.524
5.138 -0.033 -0.023
-0.003 3.043 -4.972
O Ni Li
8 6 2
Direct
0.248 0.252 0.750 O
0.250 0.250 0.250 O
0.729 0.229 0.489 O
0.729 0.229 0.011 O
0.750 0.750 0.250 O
0.271 0.771 0.011 O
0.752 0.748 0.750 O
0.271 0.771 0.489 O
0.000 0.000 0.001 Ni
0.500 0.000 0.250 Ni
0.500 0.000 0.750 Ni
0.000 0.000 0.498 Ni
0.500 0.500 0.002 Ni
0.500 0.500 0.499 Ni
0.000 0.500 0.250 Li
0.000 0.500 0.750 Li
```

ΔE_f, eV per atom: -1.346
Space group: No. 65

[7]
Computed, not measured: a relaxed structure of LiNi3O4 at the PBE with a Hubbard U level of DFT.

```
LiNi3O4
1.0
-5.098 -0.588 2.855
-4.525 3.598 -1.246
-0.184 -5.686 -1.607
O Ni Li
8 6 2
Direct
0.248 0.499 0.221 O
0.769 0.962 0.231 O
0.752 0.501 0.779 O
0.275 0.500 0.763 O
0.724 0.500 0.237 O
0.247 0.006 0.253 O
0.753 0.994 0.747 O
0.231 0.038 0.769 O
0.000 0.500 0.000 Ni
0.000 0.000 0.000 Ni
0.500 0.000 0.500 Ni
0.000 0.000 0.500 Ni
0.500 0.000 0.000 Ni
0.500 0.500 0.000 Ni
0.500 0.500 0.500 Li
0.000 0.500 0.500 Li
```

ΔE_f, eV per atom: -1.355
Space group: No. 12

[8]
Computed, not measured: a relaxed structure of LiNi9O13 at the PBE with a Hubbard U level of DFT.

```
LiNi9O13
1.0
2.988 -0.285 0.064
-2.008 5.427 -0.157
0.217 1.750 14.332
Ni O Li
9 13 1
Direct
0.847 0.761 0.132 Ni
0.342 0.762 0.954 Ni
0.150 0.260 0.866 Ni
0.611 0.273 0.047 Ni
0.894 0.875 0.337 Ni
0.960 0.403 0.326 Ni
0.490 0.000 0.499 Ni
0.024 0.604 0.671 Ni
0.090 0.131 0.662 Ni
0.825 0.838 0.589 O
0.412 0.947 0.740 O
0.763 0.301 0.584 O
0.006 0.997 0.001 O
0.163 0.172 0.411 O
0.451 0.005 0.835 O
0.238 0.703 0.414 O
0.649 0.596 0.261 O
0.223 0.551 0.079 O
0.788 0.456 0.919 O
0.336 0.411 0.735 O
0.533 0.017 0.164 O
0.562 0.065 0.260 O
0.455 0.486 0.499 Li
```

ΔE_f, eV per atom: -0.700
Space group: No. 1

Repeat the third record exactly.
Computed, not measured: a relaxed structure of LiNiO2 at the PBE with a Hubbard U level of DFT.

```
LiNiO2
1.0
2.926 5.008 0.000
-2.926 5.008 0.000
0.000 3.412 4.788
O Ni Li
8 4 4
Direct
0.234 0.234 0.257 O
0.756 0.221 0.275 O
0.779 0.244 0.725 O
0.750 0.750 0.287 O
0.766 0.766 0.743 O
0.221 0.756 0.275 O
0.244 0.779 0.725 O
0.250 0.250 0.713 O
0.500 0.000 0.500 Ni
0.000 0.000 0.500 Ni
0.000 0.500 0.500 Ni
0.000 0.000 0.000 Ni
0.500 0.000 0.000 Li
0.000 0.500 0.000 Li
0.500 0.500 0.500 Li
0.500 0.500 0.000 Li
```

ΔE_f, eV per atom: -1.487
Space group: No. 12

Which of these has the highest ΔE_f? LiNi9O13

Repeat the seventh record exactly.
Computed, not measured: a relaxed structure of LiNi3O4 at the PBE with a Hubbard U level of DFT.

```
LiNi3O4
1.0
-5.098 -0.588 2.855
-4.525 3.598 -1.246
-0.184 -5.686 -1.607
O Ni Li
8 6 2
Direct
0.248 0.499 0.221 O
0.769 0.962 0.231 O
0.752 0.501 0.779 O
0.275 0.500 0.763 O
0.724 0.500 0.237 O
0.247 0.006 0.253 O
0.753 0.994 0.747 O
0.231 0.038 0.769 O
0.000 0.500 0.000 Ni
0.000 0.000 0.000 Ni
0.500 0.000 0.500 Ni
0.000 0.000 0.500 Ni
0.500 0.000 0.000 Ni
0.500 0.500 0.000 Ni
0.500 0.500 0.500 Li
0.000 0.500 0.500 Li
```

ΔE_f, eV per atom: -1.355
Space group: No. 12

Which of these has the highest ΔE_f? LiNi9O13